# 1
# SbP2O7

SbP2O7 after structural relaxation (GGA-PBE, the Materials Project database).

abc: 8.584 7.332 9.198
angles: 66.17 90.00 90.00
Sites, in units of the cell vectors:
Sb  0.911  0.747  0.624
Sb  0.589  0.747  0.124
Sb  0.411  0.253  0.876
Sb  0.089  0.253  0.376
P  0.237  0.934  0.748
P  0.263  0.934  0.248
P  0.766  0.450  0.973
P  0.266  0.550  0.527
P  0.734  0.450  0.473
P  0.234  0.550  0.027
P  0.737  0.066  0.752
P  0.763  0.066  0.252
O  0.093  0.980  0.621
O  0.738  0.886  0.704
O  0.382  0.873  0.696
O  0.160  0.752  0.901
O  0.407  0.980  0.121
O  0.762  0.886  0.204
O  0.118  0.873  0.196
O  0.340  0.752  0.401
O  0.897  0.521  0.847
O  0.610  0.416  0.909
O  0.747  0.598  0.554
O  0.247  0.402  0.946
O  0.110  0.584  0.591
O  0.397  0.479  0.653
O  0.603  0.521  0.347
O  0.890  0.416  0.409
O  0.753  0.598  0.054
O  0.253  0.402  0.446
O  0.390  0.584  0.091
O  0.103  0.479  0.153
O  0.660  0.248  0.599
O  0.882  0.127  0.804
O  0.238  0.114  0.796
O  0.593  0.020  0.879
O  0.840  0.248  0.099
O  0.618  0.127  0.304
O  0.262  0.114  0.296
O  0.907  0.020  0.379

The calculated formation energy comes out at -2.260 eV per atom. As for the energy above the lowest structure with this stoichiometry: 128.1 meV per atom. As for the magnetization: 0.00 μB/f.u.


# 2
# SbP2O7

SbP2O7 after structural relaxation (GGA-PBE, the Materials Project database).

abc: 16.333 8.226 8.311
angles: 89.82 90.00 90.00
Sites, in units of the cell vectors:
Sb  0.873  0.154  0.528
Sb  0.373  0.846  0.972
Sb  0.127  0.846  0.472
Sb  0.627  0.154  0.028
Sb  0.367  0.369  0.484
Sb  0.867  0.631  0.016
Sb  0.633  0.631  0.516
Sb  0.133  0.369  0.984
P  0.678  0.034  0.403
P  0.178  0.966  0.097
P  0.322  0.966  0.597
P  0.822  0.034  0.903
P  0.667  0.541  0.112
P  0.167  0.459  0.388
P  0.333  0.459  0.888
P  0.833  0.541  0.612
P  0.589  0.253  0.638
P  0.089  0.747  0.862
P  0.411  0.747  0.362
P  0.911  0.253  0.138
P  0.428  0.219  0.073
P  0.928  0.781  0.427
P  0.572  0.781  0.927
P  0.072  0.219  0.573
O  0.416  0.071  0.958
O  0.916  0.929  0.542
O  0.584  0.929  0.042
O  0.084  0.071  0.458
O  0.374  0.227  0.217
O  0.874  0.773  0.283
O  0.626  0.773  0.783
O  0.126  0.227  0.717
O  0.415  0.371  0.952
O  0.915  0.629  0.548
O  0.585  0.629  0.048
O  0.085  0.371  0.452
O  0.670  0.378  0.015
O  0.170  0.622  0.485
O  0.330  0.622  0.985
O  0.830  0.378  0.515
O  0.521  0.233  0.119
O  0.021  0.767  0.381
O  0.479  0.767  0.881
O  0.979  0.233  0.619
O  0.658  0.377  0.628
O  0.158  0.623  0.872
O  0.342  0.623  0.372
O  0.842  0.377  0.128
O  0.344  0.489  0.710
O  0.844  0.511  0.790
O  0.656  0.511  0.290
O  0.156  0.489  0.210
O  0.666  0.143  0.253
O  0.166  0.857  0.247
O  0.334  0.857  0.747
O  0.834  0.143  0.753
O  0.338  0.144  0.625
O  0.838  0.856  0.875
O  0.662  0.856  0.375
O  0.162  0.144  0.125
O  0.239  0.353  0.439
O  0.739  0.647  0.061
O  0.761  0.647  0.561
O  0.261  0.353  0.939
O  0.583  0.171  0.809
O  0.083  0.829  0.691
O  0.417  0.829  0.191
O  0.917  0.171  0.309
O  0.615  0.092  0.534
O  0.115  0.908  0.966
O  0.385  0.908  0.466
O  0.885  0.092  0.034
O  0.507  0.310  0.583
O  0.007  0.690  0.917
O  0.493  0.690  0.417
O  0.993  0.310  0.083
O  0.766  0.064  0.465
O  0.266  0.936  0.035
O  0.234  0.936  0.535
O  0.734  0.064  0.965

The calculated formation energy comes out at -2.388 eV per atom. As for the energy above the lowest structure with this stoichiometry: 0.0 meV per atom.


# 3
# SbP2O7

SbP2O7 after structural relaxation (GGA-PBE, the Materials Project database).

abc: 8.488 7.399 9.910
angles: 69.63 90.00 90.00
Sites, in units of the cell vectors:
Sb  0.495  0.264  0.246
Sb  0.005  0.264  0.746
Sb  0.995  0.736  0.254
Sb  0.505  0.736  0.754
P  0.714  0.327  0.947
P  0.286  0.673  0.053
P  0.241  0.078  0.042
P  0.741  0.922  0.458
P  0.759  0.922  0.958
P  0.259  0.078  0.542
P  0.214  0.673  0.553
P  0.786  0.327  0.447
O  0.700  0.329  0.102
O  0.362  0.201  0.085
O  0.907  0.456  0.342
O  0.638  0.799  0.915
O  0.800  0.329  0.602
O  0.407  0.544  0.158
O  0.666  0.115  0.949
O  0.201  0.185  0.882
O  0.614  0.365  0.397
O  0.596  0.977  0.360
O  0.200  0.671  0.398
O  0.114  0.635  0.103
O  0.096  0.023  0.140
O  0.334  0.885  0.051
O  0.862  0.799  0.415
O  0.886  0.365  0.897
O  0.834  0.115  0.449
O  0.300  0.671  0.898
O  0.799  0.815  0.118
O  0.404  0.023  0.640
O  0.701  0.815  0.618
O  0.166  0.885  0.551
O  0.904  0.977  0.860
O  0.138  0.201  0.585
O  0.386  0.635  0.603
O  0.299  0.185  0.382
O  0.093  0.544  0.658
O  0.593  0.456  0.842

The calculated formation energy comes out at -2.348 eV per atom. As for the energy above the lowest structure with this stoichiometry: 40.0 meV per atom. As for the magnetization: 0.00 μB/f.u.


# 4
# SbP5O15

SbP5O15 after structural relaxation (GGA-PBE, the Materials Project database).

abc: 14.019 5.222 8.654
angles: 79.08 90.00 90.00
Sites, in units of the cell vectors:
Sb  0.500  0.500  0.500
Sb  0.000  0.500  0.500
P  0.250  0.460  0.019
P  0.584  0.368  0.165
P  0.916  0.368  0.165
P  0.644  0.018  0.470
P  0.856  0.018  0.470
P  0.144  0.982  0.530
P  0.356  0.982  0.530
P  0.084  0.632  0.835
P  0.416  0.632  0.835
P  0.750  0.540  0.981
O  0.250  0.740  0.028
O  0.661  0.581  0.115
O  0.839  0.581  0.115
O  0.986  0.489  0.278
O  0.514  0.489  0.278
O  0.120  0.273  0.503
O  0.380  0.273  0.503
O  0.580  0.171  0.567
O  0.920  0.171  0.567
O  0.644  0.143  0.295
O  0.856  0.143  0.295
O  0.533  0.235  0.056
O  0.250  0.231  0.147
O  0.967  0.235  0.056
O  0.750  0.041  0.529
O  0.250  0.959  0.471
O  0.033  0.765  0.944
O  0.750  0.769  0.853
O  0.467  0.765  0.944
O  0.144  0.857  0.705
O  0.356  0.857  0.705
O  0.080  0.829  0.433
O  0.420  0.829  0.433
O  0.620  0.727  0.497
O  0.880  0.727  0.497
O  0.486  0.511  0.722
O  0.014  0.511  0.722
O  0.161  0.419  0.885
O  0.339  0.419  0.885
O  0.750  0.260  0.972

The calculated formation energy comes out at -2.304 eV per atom. As for the energy above the lowest structure with this stoichiometry: 0.0 meV per atom. As for the magnetization: 0.00 μB/f.u.


# 5
# SbP2O7

SbP2O7 after structural relaxation (GGA-PBE, the Materials Project database).

abc: 8.998 7.200 9.559
angles: 69.56 90.00 90.00
Sites, in units of the cell vectors:
Sb  0.068  0.711  0.181
Sb  0.432  0.711  0.681
Sb  0.568  0.289  0.319
Sb  0.932  0.289  0.819
P  0.720  0.527  0.540
P  0.245  0.092  0.235
P  0.745  0.908  0.265
P  0.255  0.092  0.735
P  0.780  0.527  0.040
P  0.755  0.908  0.765
P  0.220  0.473  0.960
P  0.280  0.473  0.460
O  0.125  0.509  0.380
O  0.211  0.252  0.066
O  0.263  0.892  0.704
O  0.084  0.108  0.760
O  0.875  0.491  0.620
O  0.789  0.748  0.934
O  0.215  0.614  0.050
O  0.909  0.499  0.152
O  0.584  0.892  0.740
O  0.715  0.386  0.450
O  0.375  0.509  0.880
O  0.857  0.875  0.655
O  0.625  0.491  0.120
O  0.737  0.108  0.296
O  0.409  0.501  0.348
O  0.785  0.386  0.950
O  0.916  0.892  0.240
O  0.237  0.892  0.204
O  0.143  0.125  0.345
O  0.591  0.499  0.652
O  0.289  0.252  0.566
O  0.285  0.614  0.550
O  0.091  0.501  0.848
O  0.416  0.108  0.260
O  0.711  0.748  0.434
O  0.643  0.875  0.155
O  0.763  0.108  0.796
O  0.357  0.125  0.845

The calculated formation energy comes out at -2.229 eV per atom. As for the energy above the lowest structure with this stoichiometry: 159.1 meV per atom. As for the magnetization: 0.00 μB/f.u.


# 6
# SbPO4

SbPO4 after structural relaxation (GGA-PBE, the Materials Project database).

abc: 4.787 7.258 9.984
angles: 90.00 90.00 90.00
Sites, in units of the cell vectors:
Sb  0.891  0.250  0.705
Sb  0.609  0.250  0.205
Sb  0.391  0.750  0.795
Sb  0.109  0.750  0.295
P  0.318  0.250  0.903
P  0.182  0.250  0.403
P  0.818  0.750  0.597
P  0.682  0.750  0.097
O  0.177  0.085  0.824
O  0.323  0.085  0.324
O  0.639  0.250  0.887
O  0.252  0.250  0.553
O  0.248  0.250  0.053
O  0.861  0.250  0.387
O  0.177  0.415  0.824
O  0.323  0.415  0.324
O  0.823  0.585  0.176
O  0.677  0.585  0.676
O  0.748  0.750  0.447
O  0.752  0.750  0.947
O  0.139  0.750  0.613
O  0.361  0.750  0.113
O  0.677  0.915  0.676
O  0.823  0.915  0.176

The calculated formation energy comes out at -2.298 eV per atom. As for the energy above the lowest structure with this stoichiometry: 57.1 meV per atom. As for the magnetization: 0.00 μB/f.u.


# 7
# SbP2O7

SbP2O7 after structural relaxation (GGA-PBE, the Materials Project database).

abc: 8.990 5.083 12.711
angles: 68.44 90.00 90.00
Sites, in units of the cell vectors:
Sb  0.726  0.601  0.222
Sb  0.274  0.399  0.778
Sb  0.226  0.399  0.278
Sb  0.774  0.601  0.722
P  0.960  0.120  0.164
P  0.219  0.701  0.477
P  0.540  0.120  0.664
P  0.719  0.299  0.023
P  0.781  0.299  0.523
P  0.460  0.880  0.336
P  0.040  0.880  0.836
P  0.281  0.701  0.977
O  0.070  0.206  0.795
O  0.855  0.025  0.602
O  0.872  0.830  0.835
O  0.629  0.257  0.732
O  0.188  0.629  0.602
O  0.312  0.629  0.102
O  0.371  0.743  0.268
O  0.100  0.754  0.964
O  0.430  0.206  0.295
O  0.129  0.743  0.768
O  0.145  0.975  0.398
O  0.930  0.794  0.205
O  0.688  0.371  0.898
O  0.628  0.830  0.335
O  0.128  0.170  0.165
O  0.680  0.552  0.058
O  0.600  0.246  0.536
O  0.812  0.371  0.398
O  0.355  0.975  0.898
O  0.320  0.448  0.942
O  0.900  0.246  0.036
O  0.645  0.025  0.102
O  0.570  0.794  0.705
O  0.180  0.448  0.442
O  0.372  0.170  0.665
O  0.871  0.257  0.232
O  0.400  0.754  0.464
O  0.820  0.552  0.558

The calculated formation energy comes out at -2.244 eV per atom. As for the energy above the lowest structure with this stoichiometry: 143.3 meV per atom. As for the magnetization: 0.96 μB/f.u.


# 8
# SbPO4

SbPO4 after structural relaxation (GGA-PBE, the Materials Project database).

abc: 6.885 4.873 5.288
angles: 83.39 90.00 90.00
Sites, in units of the cell vectors:
Sb  0.750  0.191  0.808
Sb  0.250  0.809  0.192
P  0.750  0.724  0.388
P  0.250  0.276  0.612
O  0.429  0.176  0.770
O  0.929  0.824  0.230
O  0.571  0.824  0.230
O  0.071  0.176  0.770
O  0.250  0.175  0.340
O  0.750  0.825  0.660
O  0.250  0.598  0.555
O  0.750  0.402  0.445

The calculated formation energy comes out at -2.355 eV per atom. As for the energy above the lowest structure with this stoichiometry: 0.0 meV per atom.


# 9
# SbPO4

SbPO4 after structural relaxation (GGA-PBE, the Materials Project database).

abc: 9.653 9.653 18.145
angles: 62.03 62.03 32.33
Sites, in units of the cell vectors:
Sb  0.366  0.848  0.998
Sb  0.152  0.634  0.502
Sb  0.634  0.152  0.002
Sb  0.000  0.500  0.000
Sb  0.848  0.366  0.498
Sb  0.725  0.275  0.750
Sb  0.275  0.725  0.250
Sb  0.500  0.000  0.500
P  0.475  0.931  0.139
P  0.719  0.293  0.386
P  0.525  0.069  0.861
P  0.293  0.719  0.886
P  0.931  0.475  0.639
P  0.069  0.525  0.361
P  0.281  0.707  0.614
P  0.707  0.281  0.114
O  0.225  0.276  0.900
O  0.548  0.323  0.082
O  0.276  0.225  0.400
O  0.540  0.288  0.456
O  0.651  0.807  0.931
O  0.604  0.453  0.303
O  0.712  0.460  0.044
O  0.011  0.998  0.879
O  0.460  0.712  0.544
O  0.677  0.452  0.418
O  0.620  0.126  0.878
O  0.962  0.398  0.727
O  0.452  0.677  0.918
O  0.998  0.011  0.379
O  0.775  0.724  0.100
O  0.380  0.874  0.122
O  0.398  0.962  0.227
O  0.288  0.540  0.956
O  0.126  0.620  0.378
O  0.038  0.602  0.273
O  0.002  0.989  0.621
O  0.807  0.651  0.431
O  0.989  0.002  0.121
O  0.453  0.604  0.803
O  0.323  0.548  0.582
O  0.724  0.775  0.600
O  0.602  0.038  0.773
O  0.193  0.349  0.569
O  0.349  0.193  0.069
O  0.547  0.396  0.197
O  0.396  0.547  0.697
O  0.874  0.380  0.622

The calculated formation energy comes out at -2.170 eV per atom. As for the energy above the lowest structure with this stoichiometry: 185.1 meV per atom. As for the magnetization: 0.00 μB/f.u.